Run one
The following is a PBE with a Hubbard U calculation of crystalline Na2MgCo2O4 at its relaxed geometry, from the Materials Project database.

Theoretical density (g/cm³): 3.6

Unit cell a=5.587 b=3.205 c=12.890 alpha=90.00 beta=90.50 gamma=90.00
Space group Cm (No. 8)
Symmetry-distinct sites (fractional):
Na: 0.000 0.000 0.000
Na: 0.139 0.500 0.622
Mg: 0.159 0.500 0.410
Co: 0.320 0.000 0.217
Co: 0.328 0.000 0.814
O: 0.160 0.500 0.246
O: 0.168 0.500 0.900
O: 0.472 0.500 0.735
O: 0.493 0.500 0.462

---

Run two
The following is a PBE with a Hubbard U calculation of crystalline Na2MgCo2O4 at its relaxed geometry, from the Materials Project database.

Theoretical density (g/cm³): 3.7

Unit cell a=10.959 b=3.478 c=5.940 alpha=90.00 beta=90.00 gamma=90.00
Space group Amm2 (No. 38)
Symmetry-distinct sites (fractional):
Na: 0.000 0.000 0.000
Na: 0.500 0.000 0.006
Mg: 0.500 0.000 0.343
Co: 0.212 0.000 0.664
O: 0.153 0.000 0.330
O: 0.393 0.000 0.670

---

The computed energies, referenced to the most stable structure and given in kJ/mol of atoms, are run one 0.0; run two 42.7.

---

Run one
The following is a PBE with a Hubbard U calculation of crystalline NaMg6CoO8 at its relaxed geometry, from the Materials Project database.

Theoretical density (g/cm³): 3.8

Unit cell a=4.261 b=4.261 c=8.591 alpha=90.00 beta=90.00 gamma=90.00
Space group P4/mmm (No. 123)
Symmetry-distinct sites (fractional):
Na: 0.000 0.000 0.000
Mg: 0.000 0.000 0.500
Mg: 0.000 0.500 0.246
Mg: 0.500 0.500 0.500
Co: 0.500 0.500 0.000
O: 0.000 0.000 0.264
O: 0.000 0.500 0.000
O: 0.000 0.500 0.500
O: 0.500 0.500 0.235

---

Run two
The following is a PBE with a Hubbard U calculation of crystalline NaMg6CoO8 at its relaxed geometry, from the Materials Project database.

Theoretical density (g/cm³): 3.8

Unit cell a=4.320 b=4.320 c=8.430 alpha=90.00 beta=90.00 gamma=90.00
Space group P4/mmm (No. 123)
Symmetry-distinct sites (fractional):
Na: 0.000 0.000 0.000
Mg: 0.000 0.500 0.245
Mg: 0.500 0.500 0.000
Mg: 0.500 0.500 0.500
Co: 0.000 0.000 0.500
O: 0.000 0.000 0.278
O: 0.000 0.500 0.000
O: 0.000 0.500 0.500
O: 0.500 0.500 0.253

---

The computed energies, referenced to the most stable structure and given in kJ/mol of atoms, are run one 0.0; run two 1.0.

---

Run one
The following is a PBE with a Hubbard U calculation of crystalline Na6MgCo2O6 at its relaxed geometry, from the Materials Project database.

Theoretical density (g/cm³): 2.6

Unit cell a=4.405 b=7.592 c=7.890 alpha=115.19 beta=90.95 gamma=90.83
Space group P-1 (No. 2)
Symmetry-distinct sites (fractional):
Na: 0.192 0.119 0.346
Na: 0.222 0.247 0.842
Na: 0.284 0.613 0.431
Mg: 0.500 0.000 0.000
Co: 0.238 0.645 0.820
O: 0.214 0.397 0.643
O: 0.278 0.805 0.074
O: 0.311 0.853 0.740

---

Run two
The following is a PBE with a Hubbard U calculation of crystalline Na6MgCo2O6 at its relaxed geometry, from the Materials Project database.

Theoretical density (g/cm³): 3.0

Unit cell a=5.769 b=6.372 c=6.431 alpha=116.81 beta=91.64 gamma=91.50
Space group P1 (No. 1)
Symmetry-distinct sites (fractional):
Na: 0.000 0.000 0.000
Na: 0.118 0.298 0.510
Na: 0.435 0.692 0.745
Na: 0.557 0.990 0.255
Na: 0.693 0.442 0.331
Na: 0.860 0.547 0.922
Mg: 0.778 0.992 0.627
Co: 0.174 0.769 0.415
Co: 0.381 0.220 0.837
O: 0.065 0.232 0.829
O: 0.490 0.757 0.425
O: 0.563 0.306 0.634
O: 0.605 0.075 0.952
O: 0.950 0.914 0.301
O: 0.991 0.685 0.620

---

The computed energies, referenced to the most stable structure and given in kJ/mol of atoms, are run one 0.0; run two 3.0.